Record 1
Computed, not measured: a relaxed Th7S12 crystal at the meta-GGA r2SCAN level of DFT.

Lattice parameters (Å, degrees): 4.0096 11.1512 11.1512 120.00 90.00 90.00
Last column: nearest neighbours and their distance in Å.
Element x y z (fractional)
Th 0.7500 0.0000 0.0000  9 S 2.80-3.10
Th 0.7500 0.4332 0.2821  8 S 2.81-3.02
Th 0.7500 0.7179 0.1511  8 S 2.81-3.02
Th 0.7500 0.8489 0.5668  8 S 2.81-3.02
Th 0.2500 0.5595 0.7123  8 S 2.76-3.00
Th 0.2500 0.2877 0.8472  8 S 2.76-3.00
Th 0.2500 0.1528 0.4405  8 S 2.76-3.00
S 0.7500 0.1391 0.6272  5 Th 2.95-2.96
S 0.7500 0.3728 0.5119  5 Th 2.95-2.96
S 0.7500 0.4881 0.8609  5 Th 2.95-2.96
S 0.2500 0.8600 0.3832  5 Th 2.91-3.02
S 0.2500 0.6168 0.4767  5 Th 2.91-3.02
S 0.2500 0.5233 0.1400  5 Th 2.91-3.02
S 0.7500 0.2485 0.9950  4 Th 2.76-2.81
S 0.7500 0.0050 0.2536  4 Th 2.76-2.81
S 0.7500 0.7464 0.7515  4 Th 2.76-2.81
S 0.2500 0.7907 0.0053  5 Th 2.94-3.10, 2 S 3.28
S 0.2500 0.9947 0.7854  5 Th 2.94-3.10, 2 S 3.28
S 0.2500 0.2146 0.2093  5 Th 2.94-3.10, 2 S 3.28

***

Record 2
Computed, not measured: a relaxed Nd5Pb3 crystal at the meta-GGA r2SCAN level of DFT.

Lattice parameters (Å, degrees): 6.9276 9.3651 9.3653 120.00 90.00 90.00
Last column: nearest neighbours and their distance in Å.
Element x y z (fractional)
Nd 0.4999 0.3334 0.6666  6 Pb 3.36, 2 Nd 3.46
Nd 0.4999 0.6667 0.3334  6 Pb 3.36, 2 Nd 3.46
Nd 0.9999 0.6666 0.3334  6 Pb 3.36, 2 Nd 3.46
Nd 0.9999 0.3333 0.6666  6 Pb 3.36, 2 Nd 3.46
Nd 0.7504 0.2402 0.0000  3 Pb 3.21-3.43
Nd 0.7504 0.7599 0.7599  3 Pb 3.21-3.43
Nd 0.7504 0.0000 0.2401  3 Pb 3.21-3.43
Nd 0.2504 0.7598 0.0000  3 Pb 3.21-3.43
Nd 0.2504 0.2401 0.2401  3 Pb 3.21-3.43
Nd 0.2504 0.0000 0.7599  3 Pb 3.21-3.43
Pb 0.7498 0.6068 0.0000  7 Nd 3.22-3.43
Pb 0.7497 0.3932 0.3932  7 Nd 3.21-3.43
Pb 0.7497 0.0000 0.6068  7 Nd 3.21-3.43
Pb 0.2498 0.3932 0.0000  7 Nd 3.22-3.43
Pb 0.2497 0.6068 0.6068  7 Nd 3.21-3.43
Pb 0.2497 0.0000 0.3932  7 Nd 3.21-3.43

***

Record 3
Computed, not measured: a relaxed Cs5Hg19 crystal at the meta-GGA r2SCAN level of DFT.

Lattice parameters (Å, degrees): 10.1975 10.1975 10.1975 107.36 107.36 113.78
Last column: nearest neighbours and their distance in Å.
Element x y z (fractional)
Cs 0.1169 0.3223 0.4392  17 Hg 3.79-4.21
Cs 0.3223 0.8831 0.2053  17 Hg 3.79-4.21
Cs 0.6777 0.1169 0.7947  17 Hg 3.79-4.21
Cs 0.8831 0.6777 0.5608  17 Hg 3.79-4.21
Cs 0.5000 0.5000 0.0000  16 Hg 3.84-4.16
Hg 0.5240 0.3395 0.5869  5 Hg 3.06-3.21
Hg 0.3395 0.7526 0.8155  5 Hg 3.06-3.21
Hg 0.9371 0.5240 0.1845  5 Hg 3.06-3.21
Hg 0.7526 0.9371 0.4131  5 Hg 3.06-3.21
Hg 0.4760 0.6605 0.4131  5 Hg 3.06-3.21
Hg 0.6605 0.2474 0.1845  5 Hg 3.06-3.21
Hg 0.0629 0.4760 0.8155  5 Hg 3.06-3.21
Hg 0.2474 0.0629 0.5869  5 Hg 3.06-3.21
Hg 0.7500 0.2500 0.5000  4 Hg 3.06
Hg 0.2500 0.7500 0.5000  4 Hg 3.06
Hg 0.3945 0.3033 0.2518  6 Hg 3.12-3.38
Hg 0.3033 0.0514 0.9087  6 Hg 3.12-3.38
Hg 0.1427 0.3945 0.0913  6 Hg 3.12-3.38
Hg 0.0514 0.1427 0.7482  6 Hg 3.12-3.38
Hg 0.6055 0.6967 0.7482  6 Hg 3.12-3.38
Hg 0.6967 0.9486 0.0913  6 Hg 3.12-3.38
Hg 0.8573 0.6055 0.9087  6 Hg 3.12-3.38
Hg 0.9486 0.8573 0.2518  6 Hg 3.12-3.38
Hg 0.0000 0.0000 0.0000  8 Hg 3.38

***

Record 4
Computed, not measured: a relaxed Cs2AgBr3 crystal at the meta-GGA r2SCAN level of DFT.

Lattice parameters (Å, degrees): 4.7439 13.9271 14.4522 90.00 90.00 90.00
Last column: nearest neighbours and their distance in Å.
Element x y z (fractional)
Cs 0.7500 0.9886 0.8259  7 Br 3.63-3.71
Cs 0.2500 0.1729 0.5191  7 Br 3.67-3.73, 2 Ag 4.04
Cs 0.7500 0.8271 0.4809  7 Br 3.67-3.73, 2 Ag 4.04
Cs 0.7500 0.4886 0.6741  7 Br 3.63-3.71
Cs 0.2500 0.5114 0.3259  7 Br 3.63-3.71
Cs 0.2500 0.0114 0.1741  7 Br 3.63-3.71
Cs 0.7500 0.3271 0.0191  7 Br 3.67-3.73, 2 Ag 4.04
Cs 0.2500 0.6729 0.9809  7 Br 3.67-3.73, 2 Ag 4.04
Ag 0.2500 0.2553 0.8034  4 Br 2.70-2.75
Ag 0.7500 0.2447 0.3034  4 Br 2.70-2.75
Ag 0.2500 0.7553 0.6966  4 Br 2.70-2.75
Ag 0.7500 0.7447 0.1966  4 Br 2.70-2.75
Br 0.2500 0.1371 0.9513  1 Ag 2.70
Br 0.7500 0.2250 0.7122  2 Ag 2.75
Br 0.7500 0.8629 0.0487  1 Ag 2.70
Br 0.2500 0.4410 0.8598  1 Ag 2.71
Br 0.2500 0.7750 0.2878  2 Ag 2.75
Br 0.7500 0.7250 0.7878  2 Ag 2.75
Br 0.2500 0.2750 0.2122  2 Ag 2.75
Br 0.2500 0.6371 0.5487  1 Ag 2.70
Br 0.7500 0.0590 0.3598  1 Ag 2.71
Br 0.7500 0.5590 0.1403  1 Ag 2.71
Br 0.7500 0.3629 0.4513  1 Ag 2.70
Br 0.2500 0.9410 0.6402  1 Ag 2.71

***

Record 5
Computed, not measured: a relaxed PbO crystal at the meta-GGA r2SCAN level of DFT.

Lattice parameters (Å, degrees): 5.2564 5.6528 45.1886 90.00 90.00 90.00
Last column: nearest neighbours and their distance in Å.
Element x y z (fractional)
Pb 0.2262 0.7660 0.1250  4 O 2.30-2.35
Pb 0.2261 0.2296 0.9375  4 O 2.31-2.34
Pb 0.7738 0.2340 0.8750  4 O 2.30-2.35
Pb 0.7739 0.7439 0.1875  4 O 2.30-2.35
Pb 0.7737 0.2306 0.2500  4 O 2.31-2.34
Pb 0.7739 0.7296 0.5625  4 O 2.31-2.34
Pb 0.7739 0.7704 0.0625  4 O 2.31-2.34
Pb 0.2261 0.2561 0.8125  4 O 2.30-2.35
Pb 0.7737 0.2694 0.7500  4 O 2.31-2.34
Pb 0.2263 0.7306 0.2500  4 O 2.31-2.34
Pb 0.2263 0.7694 0.7500  4 O 2.31-2.34
Pb 0.7739 0.7561 0.8125  4 O 2.30-2.35
Pb 0.2261 0.2704 0.4375  4 O 2.31-2.34
Pb 0.7738 0.2660 0.3750  4 O 2.30-2.35
Pb 0.2262 0.7340 0.8750  4 O 2.30-2.35
Pb 0.2262 0.7660 0.3750  4 O 2.30-2.35
Pb 0.7740 0.2500 0.5000  4 O 2.31-2.34
Pb 0.2262 0.7340 0.6250  4 O 2.30-2.35
Pb 0.2260 0.7500 0.0000  4 O 2.31-2.34
Pb 0.2260 0.7500 0.5000  4 O 2.31-2.34
Pb 0.2261 0.2561 0.6875  4 O 2.30-2.35
Pb 0.7740 0.2500 0.0000  4 O 2.31-2.34
Pb 0.7739 0.7296 0.9375  4 O 2.31-2.34
Pb 0.7739 0.7704 0.4375  4 O 2.31-2.34
Pb 0.7739 0.7439 0.3125  4 O 2.30-2.35
Pb 0.7738 0.2340 0.6250  4 O 2.30-2.35
Pb 0.7738 0.2660 0.1250  4 O 2.30-2.35
Pb 0.2261 0.2296 0.5625  4 O 2.31-2.34
Pb 0.2261 0.2439 0.1875  4 O 2.30-2.35
Pb 0.2261 0.2704 0.0625  4 O 2.31-2.34
Pb 0.7739 0.7561 0.6875  4 O 2.30-2.35
Pb 0.2261 0.2439 0.3125  4 O 2.30-2.35
O 0.9977 0.9763 0.9062  4 Pb 2.30-2.35
O 0.9932 0.4825 0.2813  4 Pb 2.30-2.35
O 0.9932 0.0175 0.7187  4 Pb 2.30-2.35
O 0.0068 0.9825 0.2187  4 Pb 2.30-2.35
O 0.0068 0.5175 0.7813  4 Pb 2.30-2.35
O 0.0023 0.4763 0.5938  4 Pb 2.30-2.35
O 0.9932 0.4825 0.2187  4 Pb 2.30-2.35
O 0.9891 0.0067 0.1563  4 Pb 2.31-2.34
O 0.9899 0.9865 0.5312  4 Pb 2.31-2.34
O 0.9932 0.0175 0.7813  4 Pb 2.30-2.35
O 0.0101 0.0135 0.4688  4 Pb 2.31-2.34
O 0.0101 0.4865 0.5312  4 Pb 2.31-2.34
O 0.9891 0.4933 0.6563  4 Pb 2.31-2.34
O 0.9899 0.5135 0.4688  4 Pb 2.31-2.34
O 0.0101 0.0135 0.0312  4 Pb 2.31-2.34
O 0.0109 0.9933 0.6563  4 Pb 2.31-2.34
O 0.0101 0.4865 0.9688  4 Pb 2.31-2.34
O 0.9891 0.0067 0.3437  4 Pb 2.31-2.34
O 0.0023 0.4763 0.9062  4 Pb 2.30-2.35
O 0.0068 0.9825 0.2813  4 Pb 2.30-2.35
O 0.9899 0.9865 0.9688  4 Pb 2.31-2.34
O 0.9891 0.4933 0.8437  4 Pb 2.31-2.34
O 0.9977 0.5237 0.4062  4 Pb 2.30-2.35
O 0.9977 0.9763 0.5938  4 Pb 2.30-2.35
O 0.9899 0.5135 0.0312  4 Pb 2.31-2.34
O 0.0109 0.9933 0.8437  4 Pb 2.31-2.34
O 0.0109 0.5067 0.1563  4 Pb 2.31-2.34
O 0.9977 0.5237 0.0938  4 Pb 2.30-2.35
O 0.0023 0.0237 0.4062  4 Pb 2.30-2.35
O 0.0023 0.0237 0.0938  4 Pb 2.30-2.35
O 0.0068 0.5175 0.7187  4 Pb 2.30-2.35
O 0.0109 0.5067 0.3437  4 Pb 2.31-2.34

***

Record 6
Computed, not measured: a relaxed SiC crystal at the meta-GGA r2SCAN level of DFT.

Lattice parameters (Å, degrees): 3.0772 3.0772 20.1256 90.00 90.00 120.00
Last column: nearest neighbours and their distance in Å.
Element x y z (fractional)
Si 0.3333 0.6667 0.8752  4 C 1.88-1.89
Si 0.3333 0.6667 0.6250  4 C 1.88-1.89
Si 0.0000 0.0000 0.0001  4 C 1.88-1.89
Si 0.6667 0.3333 0.7501  4 C 1.89
Si 0.6667 0.3333 0.3752  4 C 1.88-1.89
Si 0.3333 0.6667 0.2501  4 C 1.89
Si 0.0000 0.0000 0.5001  4 C 1.88-1.89
Si 0.6667 0.3333 0.1250  4 C 1.88-1.89
C 0.3333 0.6667 0.3441  4 Si 1.88-1.89
C 0.6667 0.3333 0.2187  4 Si 1.89
C 0.6667 0.3333 0.8441  4 Si 1.88-1.89
C 0.0000 0.0000 0.5938  4 Si 1.88-1.89
C 0.3333 0.6667 0.9689  4 Si 1.88-1.89
C 0.0000 0.0000 0.0938  4 Si 1.88-1.89
C 0.3333 0.6667 0.7187  4 Si 1.89
C 0.6667 0.3333 0.4689  4 Si 1.88-1.89

***

Number 1: formation energy -4165.9 kJ/mol of formula units. Number 2: formation energy -557.1 kJ/mol of formula units. Number 3: formation energy -556.5 kJ/mol of formula units. Number 4: formation energy -880.7 kJ/mol of formula units. Number 5: formation energy -242.0 kJ/mol of formula units. Number 6: formation energy -59.0 kJ/mol of formula units.